Material: Dy3Ga5
Method: DFT, meta-GGA r2SCAN
State: optimized geometry

The structure in POSCAR format:
```
Dy3Ga5
1.0
11.366 0.000 0.000
0.000 9.611 0.000
0.000 0.000 6.102
Dy Ga
12 20
Direct
0.078 0.250 0.151
0.149 0.511 0.611
0.149 0.989 0.611
0.351 0.011 0.111
0.351 0.489 0.111
0.422 0.750 0.651
0.578 0.250 0.349
0.649 0.511 0.889
0.649 0.989 0.889
0.851 0.011 0.389
0.851 0.489 0.389
0.922 0.750 0.849
0.006 0.250 0.630
0.089 0.554 0.128
0.089 0.946 0.128
0.196 0.750 0.905
0.248 0.750 0.320
0.252 0.250 0.820
0.304 0.250 0.405
0.411 0.054 0.628
0.411 0.446 0.628
0.494 0.750 0.130
0.506 0.250 0.870
0.589 0.554 0.372
0.589 0.946 0.372
0.696 0.750 0.595
0.748 0.750 0.180
0.752 0.250 0.680
0.804 0.250 0.095
0.911 0.054 0.872
0.911 0.446 0.872
0.994 0.750 0.370
```

Values from the calculation:
size of the total moment = 0.00 μB/cell
formation energy from the elements = -0.742 eV per atom
mass density = 8.33 g cm⁻³